one) DFT (PBE with a Hubbard U) results for an optimized crystal structure of LiVSiO4.

Calculated values
size of the total moment	2.00	μB per formula unit

Cell: 9.337 5.630 6.395 Å, 106.05 104.21 80.27°
Sites, in units of the cell vectors:
Li: 0.138 0.196 0.383
Li: 0.221 0.698 0.432
Li: 0.779 0.302 0.568
Li: 0.862 0.804 0.617
V: 0.206 0.707 0.929
V: 0.426 0.215 0.165
V: 0.574 0.785 0.835
V: 0.794 0.293 0.071
Si: 0.095 0.165 0.828
Si: 0.462 0.322 0.709
Si: 0.538 0.678 0.290
Si: 0.905 0.835 0.172
O: 0.147 0.364 0.727
O: 0.101 0.869 0.676
O: 0.076 0.754 0.142
O: 0.213 0.116 0.060
O: 0.447 0.126 0.846
O: 0.386 0.617 0.778
O: 0.388 0.221 0.451
O: 0.361 0.613 0.218
O: 0.639 0.387 0.782
O: 0.612 0.779 0.549
O: 0.614 0.383 0.222
O: 0.553 0.874 0.154
O: 0.787 0.884 0.940
O: 0.924 0.246 0.858
O: 0.899 0.131 0.324
O: 0.853 0.636 0.273

=====

two) DFT (PBE with a Hubbard U) results for an optimized crystal structure of LiVSiO4.

Calculated values
size of the total moment	0.00	μB per formula unit

Cell: 5.126 10.384 6.835 Å, 90.00 88.77 90.00°
Sites, in units of the cell vectors:
Li: 0.193 0.149 0.505
Li: 0.307 0.649 0.995
Li: 0.693 0.351 0.005
Li: 0.807 0.851 0.495
V: 0.687 0.332 0.510
V: 0.813 0.832 0.990
V: 0.187 0.168 0.010
V: 0.313 0.668 0.490
Si: 0.189 0.407 0.261
Si: 0.311 0.907 0.239
Si: 0.689 0.093 0.761
Si: 0.811 0.593 0.739
O: 0.127 0.622 0.732
O: 0.373 0.122 0.768
O: 0.627 0.878 0.232
O: 0.873 0.378 0.268
O: 0.180 0.834 0.051
O: 0.320 0.334 0.449
O: 0.680 0.666 0.551
O: 0.820 0.166 0.949
O: 0.191 0.842 0.442
O: 0.309 0.342 0.058
O: 0.691 0.658 0.942
O: 0.809 0.158 0.558
O: 0.248 0.062 0.238
O: 0.252 0.562 0.262
O: 0.748 0.438 0.738
O: 0.752 0.938 0.762

=====

Which of them is the most stable? Correct choice: two).

=====

one) DFT (PBE with a Hubbard U) results for an optimized crystal structure of MoH4O5.

Calculated values
size of the total moment	0.00	μB per formula unit

Cell: 4.135 6.780 7.566 Å, 90.70 90.45 106.72°
Sites, in units of the cell vectors:
Mo: 0.920 0.002 0.750
Mo: 0.080 0.998 0.250
H: 0.658 0.586 0.097
H: 0.342 0.414 0.903
H: 0.338 0.414 0.403
H: 0.662 0.586 0.597
H: 0.740 0.624 0.850
H: 0.273 0.373 0.647
H: 0.260 0.376 0.150
H: 0.727 0.627 0.353
O: 0.000 0.000 0.000
O: 0.000 0.000 0.500
O: 0.500 0.500 0.000
O: 0.500 0.500 0.500
O: 0.502 0.003 0.751
O: 0.498 0.997 0.249
O: 0.857 0.705 0.743
O: 0.148 0.296 0.755
O: 0.143 0.295 0.257
O: 0.852 0.704 0.245

=====

two) DFT (PBE with a Hubbard U) results for an optimized crystal structure of MoH4O5.

Calculated values
size of the total moment	0.00	μB per formula unit

Cell: 4.080 7.001 7.550 Å, 92.51 91.51 99.82°
Sites, in units of the cell vectors:
Mo: 0.921 0.998 0.749
Mo: 0.079 0.002 0.251
H: 0.634 0.586 0.090
H: 0.366 0.414 0.910
H: 0.367 0.421 0.406
H: 0.633 0.579 0.594
H: 0.962 0.647 0.842
H: 0.049 0.353 0.667
H: 0.038 0.353 0.158
H: 0.951 0.647 0.333
O: 0.000 0.000 0.000
O: 0.000 0.000 0.500
O: 0.500 0.500 0.000
O: 0.500 0.500 0.500
O: 0.495 0.997 0.742
O: 0.505 0.003 0.258
O: 0.919 0.720 0.737
O: 0.077 0.278 0.773
O: 0.081 0.280 0.263
O: 0.923 0.722 0.227

=====

Which of them is the most stable? Correct choice: one).

=====

one) DFT (PBE with a Hubbard U) results for an optimized crystal structure of LiV3F10.

Calculated values
size of the total moment	6.00	μB per formula unit

Cell: 6.038 3.987 15.571 Å, 89.27 90.00 90.00°
Sites, in units of the cell vectors:
Li: 0.492 0.092 0.393
Li: 0.508 0.092 0.893
V: 0.057 0.010 0.004
V: 0.036 0.005 0.287
V: 0.503 0.020 0.138
V: 0.943 0.010 0.504
V: 0.964 0.005 0.787
V: 0.497 0.020 0.638
F: 0.771 0.005 0.062
F: 0.768 0.027 0.219
F: 0.798 0.986 0.380
F: 0.229 0.005 0.562
F: 0.184 0.025 0.404
F: 0.365 0.028 0.261
F: 0.232 0.027 0.719
F: 0.202 0.986 0.880
F: 0.816 0.025 0.904
F: 0.635 0.028 0.761
F: 0.394 0.076 0.012
F: 0.606 0.076 0.512
F: 0.502 0.520 0.140
F: 0.043 0.509 0.285
F: 0.946 0.511 0.496
F: 0.498 0.520 0.640
F: 0.957 0.509 0.785
F: 0.054 0.511 0.996
F: 0.158 0.971 0.130
F: 0.842 0.971 0.630

=====

two) DFT (PBE with a Hubbard U) results for an optimized crystal structure of LiV3F10.

Calculated values
size of the total moment	2.00	μB per formula unit

Cell: 6.564 7.458 7.884 Å, 90.00 90.00 90.00°
Sites, in units of the cell vectors:
Li: 0.317 0.000 0.250
Li: 0.683 0.000 0.750
V: 0.500 0.500 0.500
V: 0.500 0.500 0.000
V: 0.000 0.235 0.500
V: 0.000 0.235 0.000
V: 0.000 0.765 0.500
V: 0.000 0.765 0.000
F: 0.461 0.500 0.750
F: 0.539 0.500 0.250
F: 0.000 0.500 0.000
F: 0.301 0.301 0.029
F: 0.699 0.301 0.971
F: 0.301 0.301 0.471
F: 0.699 0.301 0.529
F: 0.952 0.231 0.250
F: 0.048 0.231 0.750
F: 0.166 0.000 0.450
F: 0.834 0.000 0.550
F: 0.166 0.000 0.050
F: 0.834 0.000 0.950
F: 0.048 0.769 0.750
F: 0.952 0.769 0.250
F: 0.301 0.699 0.029
F: 0.699 0.699 0.971
F: 0.301 0.699 0.471
F: 0.699 0.699 0.529
F: 0.000 0.500 0.500

=====

Which of them is the most stable? Correct choice: one).

=====

one) DFT (PBE with a Hubbard U) results for an optimized crystal structure of Mo2P2O11.

Calculated values
size of the total moment	0.57	μB per formula unit

Cell: 6.537 3.889 8.806 Å, 77.70 90.00 90.00°
Sites, in units of the cell vectors:
Mo: 0.500 0.352 0.270
Mo: 0.000 0.660 0.717
P: 0.500 0.680 0.847
P: 0.000 0.404 0.165
O: 0.500 0.869 0.244
O: 0.000 0.113 0.753
O: 0.500 0.262 0.468
O: 0.000 0.737 0.519
O: 0.500 0.480 0.020
O: 0.000 0.491 0.995
O: 0.814 0.355 0.263
O: 0.186 0.355 0.263
O: 0.300 0.617 0.754
O: 0.700 0.617 0.754
O: 0.500 0.066 0.850

=====

two) DFT (PBE with a Hubbard U) results for an optimized crystal structure of Mo2P2O11.

Calculated values
size of the total moment	0.00	μB per formula unit

Cell: 6.394 10.671 12.781 Å, 90.00 90.00 90.00°
Sites, in units of the cell vectors:
Mo: 0.750 0.512 0.250
Mo: 0.750 0.781 0.006
Mo: 0.250 0.488 0.750
Mo: 0.250 0.012 0.250
Mo: 0.250 0.281 0.494
Mo: 0.750 0.988 0.750
Mo: 0.250 0.219 0.994
Mo: 0.750 0.719 0.506
P: 0.250 0.689 0.977
P: 0.250 0.811 0.477
P: 0.250 0.505 0.158
P: 0.750 0.189 0.523
P: 0.750 0.495 0.842
P: 0.250 0.995 0.658
P: 0.750 0.311 0.023
P: 0.750 0.005 0.342
O: 0.750 0.131 0.409
O: 0.750 0.415 0.103
O: 0.250 0.915 0.397
O: 0.557 0.226 0.027
O: 0.250 0.365 0.657
O: 0.443 0.981 0.729
O: 0.443 0.726 0.473
O: 0.250 0.314 0.882
O: 0.057 0.726 0.473
O: 0.557 0.274 0.527
O: 0.943 0.019 0.271
O: 0.250 0.186 0.382
O: 0.250 0.391 0.090
O: 0.557 0.019 0.271
O: 0.750 0.570 0.556
O: 0.250 0.109 0.590
O: 0.250 0.618 0.673
O: 0.250 0.430 0.444
O: 0.750 0.865 0.843
O: 0.943 0.481 0.771
O: 0.057 0.774 0.973
O: 0.443 0.774 0.973
O: 0.443 0.519 0.229
O: 0.250 0.585 0.897
O: 0.750 0.609 0.910
O: 0.750 0.085 0.603
O: 0.250 0.135 0.157
O: 0.557 0.481 0.771
O: 0.057 0.981 0.729
O: 0.250 0.631 0.091
O: 0.750 0.635 0.343
O: 0.750 0.814 0.618
O: 0.750 0.891 0.410
O: 0.943 0.274 0.527
O: 0.750 0.382 0.327
O: 0.943 0.226 0.027
O: 0.057 0.519 0.229
O: 0.750 0.118 0.827
O: 0.250 0.882 0.173
O: 0.750 0.686 0.118
O: 0.750 0.930 0.056
O: 0.750 0.369 0.909
O: 0.250 0.869 0.591
O: 0.250 0.070 0.944

=====

Which of them is the most stable? Correct choice: two).

=====

one) DFT (PBE with a Hubbard U) results for an optimized crystal structure of Ta2MnO6.

Calculated values
size of the total moment	5.00	μB per formula unit

Cell: 5.819 7.146 10.859 Å, 75.62 90.00 90.00°
Sites, in units of the cell vectors:
Ta: 0.337 0.836 0.578
Ta: 0.663 0.164 0.422
Ta: 0.149 0.000 0.250
Ta: 0.320 0.500 0.250
Ta: 0.663 0.836 0.078
Ta: 0.337 0.164 0.922
Ta: 0.851 0.000 0.750
Ta: 0.680 0.500 0.750
Mn: 0.177 0.345 0.582
Mn: 0.823 0.655 0.418
Mn: 0.823 0.345 0.082
Mn: 0.177 0.655 0.918
O: 0.867 0.138 0.566
O: 0.394 0.119 0.548
O: 0.398 0.562 0.622
O: 0.606 0.881 0.452
O: 0.879 0.512 0.614
O: 0.133 0.862 0.434
O: 0.121 0.488 0.386
O: 0.886 0.835 0.215
O: 0.133 0.138 0.066
O: 0.602 0.438 0.378
O: 0.371 0.801 0.219
O: 0.606 0.119 0.048
O: 0.371 0.199 0.281
O: 0.602 0.562 0.122
O: 0.394 0.881 0.952
O: 0.886 0.165 0.285
O: 0.121 0.512 0.114
O: 0.867 0.862 0.934
O: 0.879 0.488 0.886
O: 0.114 0.835 0.715
O: 0.398 0.438 0.878
O: 0.629 0.801 0.719
O: 0.629 0.199 0.781
O: 0.114 0.165 0.785

=====

two) DFT (PBE with a Hubbard U) results for an optimized crystal structure of Ta2MnO6.

Cell: 4.794 5.201 17.417 Å, 90.00 90.00 90.00°
Sites, in units of the cell vectors:
Ta: 0.000 0.250 0.219
Ta: 0.000 0.250 0.554
Ta: 0.500 0.750 0.281
Ta: 0.500 0.750 0.946
Ta: 0.500 0.250 0.054
Ta: 0.500 0.250 0.719
Ta: 0.000 0.750 0.446
Ta: 0.000 0.750 0.781
Mn: 0.000 0.250 0.893
Mn: 0.500 0.750 0.607
Mn: 0.500 0.250 0.393
Mn: 0.000 0.750 0.107
O: 0.231 0.108 0.128
O: 0.215 0.067 0.465
O: 0.238 0.073 0.787
O: 0.262 0.073 0.287
O: 0.269 0.108 0.628
O: 0.285 0.067 0.965
O: 0.238 0.573 0.213
O: 0.215 0.567 0.535
O: 0.231 0.608 0.872
O: 0.285 0.567 0.035
O: 0.269 0.608 0.372
O: 0.262 0.573 0.713
O: 0.738 0.427 0.287
O: 0.731 0.392 0.628
O: 0.715 0.433 0.965
O: 0.769 0.392 0.128
O: 0.785 0.433 0.465
O: 0.762 0.427 0.787
O: 0.715 0.933 0.035
O: 0.731 0.892 0.372
O: 0.738 0.927 0.713
O: 0.762 0.927 0.213
O: 0.785 0.933 0.535
O: 0.769 0.892 0.872

=====

Which of them is the most stable? Correct choice: two).